(1)
# CsGd2Ag3Te5, optimized geometry, DFT PBE
# Volume, Å³ per cell: 1451.8
# Energy of formation, eV/atom: -1.098
# Calculated density, Mg/m³: 6.447
data_CsGd2Ag3Te5
_chemical_formula_sum 'Cs4 Gd8 Ag12 Te20'
_cell_length_a 4.717
_cell_length_b 16.348
_cell_length_c 18.828
_cell_angle_alpha 90.00
_cell_angle_beta 90.00
_cell_angle_gamma 90.00
_symmetry_space_group_name_H-M 'C m c m'
_symmetry_Int_Tables_number 63
_symmetry_space_group_name_Hall '-C 2c 2'
loop_
_atom_site_label
_atom_site_type_symbol
_atom_site_fract_x
_atom_site_fract_y
_atom_site_fract_z
_atom_site_occupancy
Cs1 Cs 0.000 0.059 0.250 1
Gd1 Gd 0.000 0.192 0.594 1
Ag1 Ag 0.000 0.342 0.250 1
Ag2 Ag 0.000 0.417 0.534 1
Te1 Te 0.000 0.179 0.071 1
Te2 Te 0.000 0.253 0.750 1
Te3 Te 0.000 0.434 0.118 1



(2)
# CsAg2I3, optimized geometry, DFT PBE
# Volume, Å³ per cell: 1036.2
# Total magnetization, μB/cell: 0.00
# Energy of formation, eV/atom: -0.898
# Calculated density, Mg/m³: 4.675
data_CsAg2I3
_chemical_formula_sum 'Cs4 Ag8 I12'
_cell_length_a 14.578
_cell_length_b 6.089
_cell_length_c 11.673
_cell_angle_alpha 90.00
_cell_angle_beta 90.00
_cell_angle_gamma 90.00
_symmetry_space_group_name_H-M 'P n m a'
_symmetry_Int_Tables_number 62
loop_
_symmetry_equiv_pos_as_xyz
'x,y,z'
'-x,-y,-z'
'-x+1/2,-y,z+1/2'
'x+1/2,y,-z+1/2'
'x+1/2,-y+1/2,-z+1/2'
'-x+1/2,y+1/2,z+1/2'
'-x,y+1/2,-z'
'x,-y+1/2,z'
loop_
_atom_site_label
_atom_site_type_symbol
_atom_site_fract_x
_atom_site_fract_y
_atom_site_fract_z
_atom_site_occupancy
Cs1 Cs 0.196 0.250 0.006 1
Ag1 Ag 0.001 0.501 0.331 1
I1 I 0.113 0.250 0.502 1
I2 I 0.126 0.750 0.798 1
I3 I 0.137 0.750 0.215 1



(3)
# Cs2PrAgI6, optimized geometry, DFT PBE
# Volume, Å³ per cell: 1898.5
# Total magnetization, μB/cell: 0.01
# Energy of formation, eV/atom: -1.467
# Calculated density, Mg/m³: 4.464
data_Cs2PrAgI6
_chemical_formula_sum 'Cs8 Pr4 Ag4 I24'
_cell_length_a 12.382
_cell_length_b 12.382
_cell_length_c 12.382
_cell_angle_alpha 90.00
_cell_angle_beta 90.00
_cell_angle_gamma 90.00
_symmetry_space_group_name_H-M 'F m -3 m'
_symmetry_Int_Tables_number 225
_symmetry_space_group_name_Hall '-F 4 2 3'
loop_
_atom_site_label
_atom_site_type_symbol
_atom_site_fract_x
_atom_site_fract_y
_atom_site_fract_z
_atom_site_occupancy
Cs1 Cs 0.250 0.250 0.250 1
Pr1 Pr 0.000 0.000 0.000 1
Ag1 Ag 0.000 0.000 0.500 1
I1 I 0.000 0.000 0.253 1



(4)
# Cs2ScAgI6, optimized geometry, DFT PBE
# Volume, Å³ per cell: 1706.8
# Total magnetization, μB/cell: 0.01
# Energy of formation, eV/atom: -1.391
# Calculated density, Mg/m³: 4.592
data_Cs2ScAgI6
_chemical_formula_sum 'Cs8 Sc4 Ag4 I24'
_cell_length_a 11.951
_cell_length_b 11.951
_cell_length_c 11.951
_cell_angle_alpha 90.00
_cell_angle_beta 90.00
_cell_angle_gamma 90.00
_symmetry_space_group_name_H-M 'F m -3 m'
_symmetry_Int_Tables_number 225
_symmetry_space_group_name_Hall '-F 4 2 3'
loop_
_atom_site_label
_atom_site_type_symbol
_atom_site_fract_x
_atom_site_fract_y
_atom_site_fract_z
_atom_site_occupancy
Cs1 Cs 0.250 0.250 0.250 1
Sc1 Sc 0.000 0.000 0.000 1
Ag1 Ag 0.000 0.000 0.500 1
I1 I 0.000 0.000 0.244 1



(5)
# Cs2TaAgI6, optimized geometry, DFT PBE
# Volume, Å³ per cell: 1663.1
# Total magnetization, μB/cell: 8.01
# Energy of formation, eV/atom: -0.948
# Calculated density, Mg/m³: 5.256
data_Cs2TaAgI6
_chemical_formula_sum 'Cs8 Ta4 Ag4 I24'
_cell_length_a 11.848
_cell_length_b 11.848
_cell_length_c 11.848
_cell_angle_alpha 90.00
_cell_angle_beta 90.00
_cell_angle_gamma 90.00
_symmetry_space_group_name_H-M 'F m -3 m'
_symmetry_Int_Tables_number 225
_symmetry_space_group_name_Hall '-F 4 2 3'
loop_
_atom_site_label
_atom_site_type_symbol
_atom_site_fract_x
_atom_site_fract_y
_atom_site_fract_z
_atom_site_occupancy
Cs1 Cs 0.250 0.250 0.250 1
Ta1 Ta 0.000 0.000 0.000 1
Ag1 Ag 0.000 0.000 0.500 1
I1 I 0.000 0.000 0.241 1



(6)
# CsNb4AgP2S20, optimized geometry, DFT PBE
# Volume, Å³ per cell: 1528.9
# Total magnetization, μB/cell: 0.00
# Energy of formation, eV/atom: -1.007
# Calculated density, Mg/m³: 2.858
data_CsNb4AgP2S20
_chemical_formula_sum 'Cs2 Nb8 Ag2 P4 S40'
_cell_length_a 7.897
_cell_length_b 12.951
_cell_length_c 14.981
_cell_angle_alpha 90.00
_cell_angle_beta 93.78
_cell_angle_gamma 90.00
_symmetry_space_group_name_H-M 'P 1 21 1'
_symmetry_Int_Tables_number 4
loop_
_symmetry_equiv_pos_as_xyz
'x,y,z'
'-x,y+1/2,-z'
loop_
_atom_site_label
_atom_site_type_symbol
_atom_site_fract_x
_atom_site_fract_y
_atom_site_fract_z
_atom_site_occupancy
Cs1 Cs 0.000 0.000 0.238 1
Nb1 Nb 0.428 0.012 0.999 1
Nb2 Nb 0.429 0.442 0.499 1
Nb3 Nb 0.435 0.151 0.501 1
Nb4 Nb 0.436 0.303 0.001 1
Ag1 Ag 0.000 0.478 0.250 1
P1 P 0.130 0.160 0.897 1
P2 P 0.130 0.295 0.397 1
S1 S 0.022 0.794 0.716 1
S2 S 0.023 0.661 0.216 1
S3 S 0.103 0.028 0.971 1
S4 S 0.103 0.427 0.470 1
S5 S 0.107 0.159 0.466 1
S6 S 0.107 0.295 0.967 1
S7 S 0.333 0.864 0.096 1
S8 S 0.334 0.590 0.596 1
S9 S 0.345 0.005 0.599 1
S10 S 0.346 0.449 0.099 1
S11 S 0.375 0.656 0.935 1
S12 S 0.376 0.799 0.435 1
S13 S 0.390 0.158 0.877 1
S14 S 0.390 0.296 0.377 1
S15 S 0.390 0.296 0.616 1
S16 S 0.391 0.159 0.117 1
S17 S 0.419 0.893 0.865 1
S18 S 0.420 0.561 0.365 1
S19 S 0.433 0.033 0.367 1
S20 S 0.433 0.421 0.866 1



(7)
# CsNd2Ag3Te5, optimized geometry, DFT PBE
# Volume, Å³ per cell: 1463.7
# Total magnetization, μB/cell: 0.00
# Energy of formation, eV/atom: -1.103
# Calculated density, Mg/m³: 6.276
data_CsNd2Ag3Te5
_chemical_formula_sum 'Cs4 Nd8 Ag12 Te20'
_cell_length_a 4.667
_cell_length_b 16.509
_cell_length_c 18.999
_cell_angle_alpha 90.00
_cell_angle_beta 90.00
_cell_angle_gamma 90.00
_symmetry_space_group_name_H-M 'C m c m'
_symmetry_Int_Tables_number 63
_symmetry_space_group_name_Hall '-C 2c 2'
loop_
_atom_site_label
_atom_site_type_symbol
_atom_site_fract_x
_atom_site_fract_y
_atom_site_fract_z
_atom_site_occupancy
Cs1 Cs 0.000 0.059 0.250 1
Nd1 Nd 0.000 0.191 0.593 1
Ag1 Ag 0.000 0.340 0.250 1
Ag2 Ag 0.000 0.414 0.530 1
Te1 Te 0.000 0.174 0.073 1
Te2 Te 0.000 0.253 0.750 1
Te3 Te 0.000 0.439 0.119 1



(8)
# CsNpAgS3, optimized geometry, DFT PBE
# Volume, Å³ per cell: 680.3
# Total magnetization, μB/cell: 12.00
# Energy of formation, eV/atom: -1.356
# Calculated density, Mg/m³: 5.604
data_CsNpAgS3
_chemical_formula_sum 'Cs4 Np4 Ag4 S12'
_cell_length_a 4.138
_cell_length_b 15.715
_cell_length_c 10.461
_cell_angle_alpha 90.00
_cell_angle_beta 90.00
_cell_angle_gamma 90.00
_symmetry_space_group_name_H-M 'C m c m'
_symmetry_Int_Tables_number 63
_symmetry_space_group_name_Hall '-C 2c 2'
loop_
_atom_site_label
_atom_site_type_symbol
_atom_site_fract_x
_atom_site_fract_y
_atom_site_fract_z
_atom_site_occupancy
Cs1 Cs 0.000 0.240 0.250 1
Np1 Np 0.000 0.500 0.000 1
Ag1 Ag 0.000 0.043 0.750 1
S1 S 0.000 0.112 0.535 1
S2 S 0.000 0.446 0.750 1



(9)
# CsAg7S4, optimized geometry, DFT PBE
# Volume, Å³ per cell: 1102.3
# Energy of formation, eV/atom: -0.390
# Calculated density, Mg/m³: 6.124
data_CsAg7S4
_chemical_formula_sum 'Cs4 Ag28 S16'
_cell_length_a 11.341
_cell_length_b 11.341
_cell_length_c 8.570
_cell_angle_alpha 90.00
_cell_angle_beta 90.00
_cell_angle_gamma 90.00
_symmetry_space_group_name_H-M 'P 4/n'
_symmetry_Int_Tables_number 85
loop_
_symmetry_equiv_pos_as_xyz
'x,y,z'
'-x,-y,-z'
'-y+1/2,x,z'
'y+1/2,-x,-z'
'-x+1/2,-y+1/2,z'
'x+1/2,y+1/2,-z'
'y,-x+1/2,z'
'-y,x+1/2,-z'
loop_
_atom_site_label
_atom_site_type_symbol
_atom_site_fract_x
_atom_site_fract_y
_atom_site_fract_z
_atom_site_occupancy
Cs1 Cs 0.250 0.250 0.123 1
Cs2 Cs 0.250 0.250 0.626 1
Ag1 Ag 0.000 0.000 0.000 1
Ag2 Ag 0.022 0.958 0.661 1
Ag3 Ag 0.109 0.788 0.383 1
Ag4 Ag 0.114 0.766 0.876 1
S1 S 0.006 0.692 0.624 1
S2 S 0.013 0.688 0.132 1



(10)
# Cs3Ag9Sb4S12, optimized geometry, DFT PBE
# Volume, Å³ per cell: 1527.3
# Total magnetization, μB/cell: 0.00
# Energy of formation, eV/atom: -0.588
# Calculated density, Mg/m³: 4.874
data_Cs3Ag9Sb4S12
_chemical_formula_sum 'Cs6 Ag18 Sb8 S24'
_cell_length_a 11.265
_cell_length_b 11.265
_cell_length_c 12.036
_cell_angle_alpha 90.00
_cell_angle_beta 90.00
_cell_angle_gamma 90.00
_symmetry_space_group_name_H-M 'I -4'
_symmetry_Int_Tables_number 82
loop_
_symmetry_equiv_pos_as_xyz
'x,y,z'
'y,-x,-z'
'-x,-y,z'
'-y,x,-z'
'x+1/2,y+1/2,z+1/2'
'y+1/2,-x+1/2,-z+1/2'
'-x+1/2,-y+1/2,z+1/2'
'-y+1/2,x+1/2,-z+1/2'
loop_
_atom_site_label
_atom_site_type_symbol
_atom_site_fract_x
_atom_site_fract_y
_atom_site_fract_z
_atom_site_occupancy
Cs1 Cs 0.000 0.000 0.000 1
Cs2 Cs 0.000 0.000 0.326 1
Ag1 Ag 0.000 0.500 0.750 1
Ag2 Ag 0.161 0.671 0.170 1
Ag3 Ag 0.167 0.679 0.835 1
Sb1 Sb 0.113 0.631 0.495 1
S1 S 0.055 0.276 0.840 1
S2 S 0.056 0.265 0.160 1
S3 S 0.168 0.198 0.498 1



(11)
# Cs2AgSbS4, optimized geometry, DFT PBE
# Volume, Å³ per cell: 541.8
# Total magnetization, μB/cell: 0.00
# Energy of formation, eV/atom: -0.902
# Calculated density, Mg/m³: 3.823
data_Cs2AgSbS4
_chemical_formula_sum 'Cs4 Ag2 Sb2 S8'
_cell_length_a 7.097
_cell_length_b 7.543
_cell_length_c 11.290
_cell_angle_alpha 73.20
_cell_angle_beta 75.56
_cell_angle_gamma 72.07
_symmetry_space_group_name_H-M 'P -1'
_symmetry_Int_Tables_number 2
loop_
_symmetry_equiv_pos_as_xyz
'x,y,z'
'-x,-y,-z'
loop_
_atom_site_label
_atom_site_type_symbol
_atom_site_fract_x
_atom_site_fract_y
_atom_site_fract_z
_atom_site_occupancy
Cs1 Cs 0.217 0.256 0.095 1
Cs2 Cs 0.264 0.011 0.688 1
Ag1 Ag 0.121 0.591 0.572 1
Sb1 Sb 0.370 0.632 0.264 1
S1 S 0.235 0.861 0.390 1
S2 S 0.255 0.762 0.072 1
S3 S 0.262 0.351 0.382 1
S4 S 0.272 0.448 0.769 1



(12)
# CsUAgS3, optimized geometry, DFT PBE
# Volume, Å³ per cell: 680.1
# Total magnetization, μB/cell: 8.03
# Energy of formation, eV/atom: -1.393
# Calculated density, Mg/m³: 5.615
data_CsUAgS3
_chemical_formula_sum 'Cs4 U4 Ag4 S12'
_cell_length_a 4.137
_cell_length_b 15.585
_cell_length_c 10.549
_cell_angle_alpha 90.00
_cell_angle_beta 90.00
_cell_angle_gamma 90.00
_symmetry_space_group_name_H-M 'C m c m'
_symmetry_Int_Tables_number 63
_symmetry_space_group_name_Hall '-C 2c 2'
loop_
_atom_site_label
_atom_site_type_symbol
_atom_site_fract_x
_atom_site_fract_y
_atom_site_fract_z
_atom_site_occupancy
Cs1 Cs 0.000 0.239 0.250 1
U1 U 0.000 0.500 0.000 1
Ag1 Ag 0.000 0.045 0.750 1
S1 S 0.000 0.113 0.537 1
S2 S 0.000 0.447 0.750 1